Entry from the Materials Project: an optimized crystal structure of ZnSnSb2 (PBE). Values from VASP.

Results
* energy of formation from the pure elements: -0.016 eV per atom
* total energy: -3.302 eV per atom
* offset from the most stable computed form: 0.143 eV per atom
* space-group type: Cm, No. 8
* volume: 30.82 A^3/atom

Structure (Quantum ESPRESSO input):
```
&SYSTEM
  ibrav = 0, nat = 24, ntyp = 3
/
ATOMIC_SPECIES
Zn 65.41 Zn.upf
Sb 121.76 Sb.upf
Sn 118.71 Sn.upf
ATOMIC_POSITIONS angstrom
Zn -1.163 -35.675 19.353
Sb -0.295 -31.054 14.291
Sn 1.379 -22.761 4.790
Sn -0.075 -5.965 2.812
Sb -0.397 -36.505 16.979
Sb 0.736 -6.044 -0.047
Sn 0.545 -17.885 5.683
Zn 0.274 -23.914 9.220
Sb 0.925 -30.273 9.611
Zn 0.161 -29.440 11.978
Sb 1.698 -11.265 -1.248
Sn 1.318 -4.711 -2.687
Sn 1.820 -16.316 0.471
Sb 0.346 -12.608 4.144
Sb 2.128 -4.812 -5.530
Zn -1.057 -30.248 16.661
Sn 0.885 -11.172 1.609
Sb -0.154 -25.743 11.525
Zn 1.362 -28.568 7.326
Zn 0.019 -34.860 14.795
Sb -0.090 -19.044 8.440
Sb 1.054 -24.817 6.826
Sb 0.790 -35.640 12.380
Sb 1.361 -17.966 2.812
CELL_PARAMETERS angstrom
-1.000 -2.161 -3.860
3.285 -1.648 -2.657
-1.355 -36.538 20.406
```

=====

Entry from the Materials Project: an optimized crystal structure of Li2MnCl4 (PBE). Values from VASP.

Results
* energy of formation from the pure elements: -1.856 eV per atom
* total energy: -4.415 eV per atom
* space-group type: Imma, No. 74
* volume: 21.08 A^3/atom

Structure (Quantum ESPRESSO input):
```
&SYSTEM
  ibrav = 0, nat = 14, ntyp = 3
/
ATOMIC_SPECIES
Li 6.94 Li.upf
Cl 35.45 Cl.upf
Mn 54.94 Mn.upf
ATOMIC_POSITIONS angstrom
Li 1.878 1.883 2.609
Cl 0.000 3.673 2.499
Cl 0.000 0.093 2.499
Li -1.878 1.883 2.609
Cl 1.993 -1.883 5.267
Cl 1.764 1.883 0.050
Cl 1.993 1.883 5.167
Li 3.757 1.883 -1.365
Cl 1.764 5.648 -0.050
Mn 0.000 0.000 0.000
Cl 3.757 3.673 2.718
Mn 0.000 3.765 0.000
Cl 3.757 0.093 2.718
Li 0.000 1.883 6.582
CELL_PARAMETERS angstrom
-3.757 3.765 5.217
3.757 -3.765 5.217
3.757 3.765 -5.217
```

=====

Entry from the Materials Project: an optimized crystal structure of Cr2HgSe3S (PBE). Values from VASP.

Results
* energy of formation from the pure elements: -0.545 eV per atom
* total energy: -5.364 eV per atom
* space-group type: Imm2, No. 44
* volume: 22.37 A^3/atom

Structure (Quantum ESPRESSO input):
```
&SYSTEM
  ibrav = 0, nat = 14, ntyp = 4
/
ATOMIC_SPECIES
Se 78.96 Se.upf
Cr 52.00 Cr.upf
S 32.06 S.upf
Hg 200.59 Hg.upf
ATOMIC_POSITIONS angstrom
Se 0.000 5.497 2.535
Cr 0.000 1.842 0.000
Cr 0.000 5.801 0.000
S 2.186 3.821 5.182
Se 1.629 3.821 0.201
Se 0.000 1.678 8.246
S -2.186 3.821 5.182
Hg 3.801 0.000 1.238
Hg 0.000 0.000 4.066
Se 3.801 2.144 2.855
Cr 1.902 3.821 2.747
Cr -1.902 3.822 2.747
Se 2.171 0.000 5.592
Se 0.000 2.146 2.535
CELL_PARAMETERS angstrom
-3.801 3.821 5.391
3.801 -3.821 5.391
3.801 3.821 -5.391
```

=====

Entry from the Materials Project: an optimized crystal structure of Pb5I2F8 (PBE). Values from VASP.

Results
* energy of formation from the pure elements: -2.201 eV per atom
* total energy: -4.417 eV per atom
* space-group type: R3m, No. 160
* volume: 21.16 A^3/atom

Structure (Quantum ESPRESSO input):
```
&SYSTEM
  ibrav = 0, nat = 15, ntyp = 3
/
ATOMIC_SPECIES
I 126.90 I.upf
F 19.00 F.upf
Pb 207.20 Pb.upf
ATOMIC_POSITIONS angstrom
I -3.174 4.685 -12.813
F -10.034 14.810 -40.508
Pb -6.916 10.209 -27.923
F -2.260 3.335 -9.123
Pb -10.673 15.754 -43.089
Pb -13.151 19.412 -53.095
F -8.732 12.889 -35.252
F -6.364 9.394 -25.695
F -1.591 2.349 -6.424
Pb -1.061 1.566 -4.283
F -12.603 18.602 -50.880
Pb -8.087 11.938 -32.651
F -4.062 5.996 -16.401
F -11.291 16.666 -45.584
I -4.973 7.340 -20.076
CELL_PARAMETERS angstrom
-1.981 6.921 -18.257
-5.431 4.291 -18.364
-5.820 8.318 -16.795
```

=====

Entry from the Materials Project: an optimized crystal structure of NdGa3Ni (PBE). Values from VASP.

Results
* energy of formation from the pure elements: -0.608 eV per atom
* total energy: -4.535 eV per atom
* offset from the most stable computed form: 0.000 eV per atom
* space-group type: I4mm, No. 107
* volume: 18.39 A^3/atom

Structure (Quantum ESPRESSO input):
```
&SYSTEM
  ibrav = 0, nat = 5, ntyp = 3
/
ATOMIC_SPECIES
Ga 69.72 Ga.upf
Nd 144.24 Nd.upf
Ni 58.69 Ni.upf
ATOMIC_POSITIONS angstrom
Ga 5.238 0.943 -0.656
Nd 5.279 0.107 2.568
Ni 3.270 -0.379 -0.426
Ga 7.290 -0.577 0.266
Ga 4.983 -1.981 -0.010
CELL_PARAMETERS angstrom
2.239 -3.490 -0.936
2.749 2.357 -2.228
5.303 0.113 2.604
```

=====

Entry from the Materials Project: an optimized crystal structure of La2Ce2O7 (PBE). Values from VASP.

Results
* energy of formation from the pure elements: -3.894 eV per atom
* total energy: -8.582 eV per atom
* space-group type: Fd-3m, No. 227
* volume: 16.08 A^3/atom

Structure (Quantum ESPRESSO input):
```
&SYSTEM
  ibrav = 0, nat = 22, ntyp = 3
/
ATOMIC_SPECIES
O 16.00 O.upf
Ce 140.12 Ce.upf
La 138.91 La.upf
ATOMIC_POSITIONS angstrom
O 3.880 -6.713 2.995
O 1.659 -5.126 3.809
O 7.465 -8.942 8.777
Ce 1.277 -3.264 5.014
O 6.037 -3.218 4.722
O 6.073 -5.209 8.707
La 6.221 -7.451 7.314
O 3.917 -8.704 6.981
Ce 2.756 -5.141 1.844
O 0.333 -1.922 3.474
Ce 4.677 -2.027 3.382
O 3.317 -0.836 2.043
O 4.644 -4.039 2.377
O 7.733 -7.315 5.150
La 2.788 -6.915 5.395
La 4.709 -3.801 6.933
La 6.189 -5.677 3.763
O 1.631 -3.569 0.692
O 2.220 -4.607 6.553
O 3.346 -2.393 5.159
O 4.977 -5.961 5.851
Ce 1.244 -1.490 1.463
CELL_PARAMETERS angstrom
6.866 -1.073 3.839
0.065 -3.548 7.102
3.023 -7.301 0.762
```

=====

Entry from the Materials Project: an optimized crystal structure of Ba3Te3Br2O8 (PBE). Values from VASP.

Results
* energy of formation from the pure elements: -2.220 eV per atom
* total energy: -5.505 eV per atom
* space-group type: Pnma, No. 62
* volume: 22.47 A^3/atom

Structure (Quantum ESPRESSO input):
```
&SYSTEM
  ibrav = 0, nat = 64, ntyp = 4
/
ATOMIC_SPECIES
O 16.00 O.upf
Br 79.90 Br.upf
Te 127.60 Te.upf
Ba 137.33 Ba.upf
ATOMIC_POSITIONS angstrom
O 7.113 -14.351 5.053
Br 13.799 -15.012 8.905
O 3.407 -8.094 3.891
O 3.655 -11.332 3.746
Te 12.849 -3.652 9.219
O 8.537 -5.155 9.070
Te 7.156 -13.289 6.627
O 9.721 -8.242 6.308
Ba 13.532 -14.015 5.645
Ba -0.404 -2.322 4.554
O 10.258 -10.417 7.903
O 0.821 -4.268 3.139
Br -0.671 -1.324 1.294
Te 0.075 -8.384 1.155
Ba 14.114 -11.507 9.219
Te 4.460 -7.008 2.803
Ba 4.361 -9.768 5.830
Br 12.978 -6.037 5.906
Ba 1.758 -13.363 4.692
Te 13.053 -7.952 9.044
O 6.015 -1.986 5.146
Te 2.446 -3.963 2.258
O 2.985 -1.160 1.084
O 2.019 -1.316 3.785
O 1.757 -4.117 0.522
Ba 6.063 -12.728 3.047
O 8.755 -8.398 9.008
O 0.413 -7.041 -0.145
Ba -0.986 -4.830 0.980
Ba 0.938 -6.697 4.782
O 7.368 -4.229 4.003
O 12.715 -9.296 10.344
Te 0.279 -12.684 0.981
O 14.727 -7.378 9.676
O 4.591 -11.182 1.129
Te 8.668 -9.328 7.396
O 6.166 -14.503 7.701
Br 9.739 -11.900 4.410
Te 5.972 -3.047 3.572
O 4.373 -7.939 1.191
O -1.599 -8.958 0.523
Br 3.389 -4.436 5.789
Te 10.682 -12.374 7.942
O 11.109 -15.021 6.415
Ba 11.370 -2.973 5.507
O 9.474 -5.004 6.453
O 6.963 -1.833 2.498
O 5.760 -12.108 6.196
O 13.662 -9.143 7.696
O -0.534 -7.193 2.503
Te 3.106 -10.597 2.112
O 2.107 -12.272 1.658
Br 0.150 -10.299 4.293
Ba 12.191 -9.639 5.417
Br 6.284 -7.021 6.676
O 12.308 -12.069 7.061
Te 10.022 -5.739 8.087
Ba 8.767 -6.568 4.369
O 11.021 -4.064 8.541
O 2.870 -5.919 2.297
Ba 7.065 -3.608 7.152
Br 6.844 -9.315 3.523
O 10.143 -15.176 9.115
O 11.371 -12.219 9.677
CELL_PARAMETERS angstrom
-2.037 -0.328 5.695
-1.997 -12.612 -1.440
17.163 -3.396 5.945
```

=====

Entry from the Materials Project: an optimized crystal structure of Na2H4Pd (PBE). Values from VASP.

Results
* energy of formation from the pure elements: -0.245 eV per atom
* total energy: -3.302 eV per atom
* space-group type: I4/mmm, No. 139
* volume: 13.59 A^3/atom

Structure (Quantum ESPRESSO input):
```
&SYSTEM
  ibrav = 0, nat = 7, ntyp = 3
/
ATOMIC_SPECIES
H 1.01 H.upf
Na 22.99 Na.upf
Pd 106.42 Pd.upf
ATOMIC_POSITIONS angstrom
H 1.516 1.516 -3.298
Na 0.000 2.685 -1.649
H 1.516 -1.516 -3.298
H -1.516 1.516 -3.298
H 1.169 1.169 0.000
Pd 0.000 0.000 0.000
Na 2.685 0.000 -1.649
CELL_PARAMETERS angstrom
2.685 2.685 3.298
2.685 -2.685 -3.298
-2.685 2.685 -3.298
```

=====

Entry from the Materials Project: an optimized crystal structure of ZnAgP3O9 (PBE). Values from VASP.

Results
* energy of formation from the pure elements: -2.305 eV per atom
* total energy: -6.497 eV per atom
* space-group type: Pcca, No. 54
* volume: 14.00 A^3/atom

Structure (Quantum ESPRESSO input):
```
&SYSTEM
  ibrav = 0, nat = 112, ntyp = 4
/
ATOMIC_SPECIES
O 16.00 O.upf
P 30.97 P.upf
Zn 65.41 Zn.upf
Ag 107.87 Ag.upf
ATOMIC_POSITIONS angstrom
O -3.256 -0.347 9.011
O -2.135 -1.081 6.537
O -2.215 4.079 7.820
O -5.547 1.893 9.301
O -0.767 7.084 11.252
P -2.472 5.442 8.645
P -0.641 -4.134 12.040
P -5.860 8.933 6.864
P -0.215 1.848 10.577
P 2.340 3.227 11.139
O -2.609 -3.873 9.258
O -0.432 4.969 12.618
O -7.431 3.719 13.661
O -5.842 6.973 9.822
P -0.337 7.168 9.695
O 2.231 4.567 10.462
O 0.930 1.079 5.243
Zn -7.697 1.713 13.302
O -6.069 -0.170 6.286
P -7.487 5.019 12.921
O -3.245 5.145 9.893
Zn 1.196 3.085 5.602
O -5.502 5.256 4.270
O 2.352 -2.078 11.590
P -4.930 6.235 13.712
O -3.004 6.465 7.677
O -8.853 6.876 7.314
O 0.038 -1.294 5.215
Ag 1.767 -0.898 9.477
O -5.572 4.698 16.971
Ag -2.867 -1.782 13.520
P -8.841 1.571 7.765
O -2.637 4.647 3.883
O -0.522 -4.470 7.984
O -0.669 2.178 11.971
O 0.689 -0.241 7.459
O -10.268 2.176 8.194
O -1.776 1.616 7.545
O -0.429 3.351 4.290
O -1.861 -2.791 4.609
O -5.666 -2.365 5.181
P -5.375 1.897 10.916
O 1.355 2.183 10.382
O -4.640 7.590 14.295
Zn -6.712 1.634 5.317
O 0.173 3.314 7.370
O -4.286 0.719 11.084
Ag -2.269 9.925 10.854
Ag -2.654 3.893 12.292
O -0.380 -4.289 10.453
O -0.954 2.905 9.603
P -4.253 5.026 16.325
O -6.674 1.484 11.534
Ag -3.634 6.580 5.384
O -7.759 5.634 5.453
O -10.431 4.729 8.493
O 3.930 0.069 10.411
O -11.627 3.143 11.687
Ag -3.847 0.905 6.612
O -3.864 0.151 15.021
P -6.462 -1.621 6.364
O -4.725 3.182 11.358
O -0.999 -0.458 14.634
P -6.285 2.950 8.327
Zn -4.203 5.092 2.577
Ag -8.268 5.696 9.427
O -2.043 -0.259 4.188
P -1.130 -3.592 9.193
P -5.371 8.390 9.711
O 5.126 1.656 7.217
P -6.164 -2.370 9.209
O -1.702 3.192 14.548
P -8.035 7.094 6.069
O -3.892 8.671 9.646
O 0.026 -2.705 12.398
O -6.539 6.092 13.689
O -4.890 -4.783 5.614
O -6.527 7.503 6.506
P -4.029 -0.644 10.259
O -7.856 2.615 8.522
P -1.571 -1.436 5.191
O -6.121 9.087 8.451
O -5.832 2.620 6.933
P 1.534 -2.296 12.835
O -0.929 0.101 1.933
O 2.426 -0.916 5.767
O -3.156 1.093 2.440
P -0.039 6.419 12.540
O -6.072 1.447 14.614
Zn -5.188 5.171 10.561
O -4.366 5.879 12.367
O -0.946 5.813 9.058
Zn 0.000 0.000 0.000
Zn -1.313 -0.373 8.343
O -0.406 0.453 10.055
O -9.408 1.862 12.082
O 2.908 2.936 6.822
P 0.986 -0.221 5.982
O -4.457 5.057 14.716
O -8.732 0.231 8.442
P -2.248 -0.228 2.579
Ag -4.232 -5.127 8.050
O -5.734 -2.286 7.652
O -6.095 4.345 8.849
P -1.126 2.901 7.988
O -7.190 5.039 11.445
O -4.799 1.606 4.356
Zn -2.509 -3.458 2.740
O -0.659 -2.175 9.082
O -3.497 -1.667 11.227
O -5.555 -1.015 9.845
O -1.611 9.581 13.290
CELL_PARAMETERS angstrom
-5.019 -6.916 5.481
6.923 1.530 8.270
-8.405 10.184 5.153
```

=====

Entry from the Materials Project: an optimized crystal structure of CuN2F4 (PBE). Values from VASP.

Results
* energy of formation from the pure elements: 0.469 eV per atom
* total energy: -3.329 eV per atom
* space-group type: Cmce, No. 64
* volume: 14.59 A^3/atom

Structure (Quantum ESPRESSO input):
```
&SYSTEM
  ibrav = 0, nat = 14, ntyp = 3
/
ATOMIC_SPECIES
F 19.00 F.upf
N 14.01 N.upf
Cu 63.55 Cu.upf
ATOMIC_POSITIONS angstrom
F 4.147 0.000 1.581
F 2.864 4.419 0.000
N 2.864 1.882 0.000
N 2.864 -4.341 2.865
F 4.446 0.000 4.446
N 2.864 -1.882 0.000
Cu 2.864 0.000 2.865
F 2.864 1.804 2.865
F 1.582 0.000 4.150
N 2.864 4.341 2.865
F 2.864 -1.804 2.865
F 2.864 -4.419 0.000
Cu 0.000 0.000 0.000
F 1.283 0.000 1.284
CELL_PARAMETERS angstrom
2.864 -6.223 0.000
2.864 6.223 0.000
0.000 0.000 5.731
```

=====

Entry from the Materials Project: an optimized crystal structure of Gd2SO2 (PBE). Values from VASP.

Results
* energy of formation from the pure elements: -3.519 eV per atom
* total energy: -11.581 eV per atom
* space-group type: P-3m1, No. 164
* volume: 17.36 A^3/atom

Structure (Quantum ESPRESSO input):
```
&SYSTEM
  ibrav = 0, nat = 5, ntyp = 3
/
ATOMIC_SPECIES
Gd 157.25 Gd.upf
S 32.06 S.upf
O 16.00 O.upf
ATOMIC_POSITIONS angstrom
Gd -1.934 -1.117 -4.811
S 0.000 0.000 0.000
Gd -1.934 1.117 -1.884
O -1.934 1.117 -4.219
O -1.934 -1.117 -2.476
CELL_PARAMETERS angstrom
-1.934 -3.350 0.000
-1.934 3.350 0.000
0.000 0.000 -6.695
```

=====

Entry from the Materials Project: an optimized crystal structure of RbNaMg14O15 (PBE). Values from VASP.

Results
* energy of formation from the pure elements: -2.675 eV per atom
* total energy: -5.534 eV per atom
* offset from the most stable computed form: 0.001 eV per atom
* space-group type: Pmm2, No. 25
* volume: 11.85 A^3/atom

Structure (Quantum ESPRESSO input):
```
&SYSTEM
  ibrav = 0, nat = 31, ntyp = 4
/
ATOMIC_SPECIES
Na 22.99 Na.upf
Mg 24.30 Mg.upf
O 16.00 O.upf
Rb 85.47 Rb.upf
ATOMIC_POSITIONS angstrom
Na 0.086 -0.148 0.121
Mg 1.831 -6.213 1.384
Mg -0.449 -3.289 1.226
Mg 1.734 -7.036 4.295
Mg 1.823 -2.124 -0.530
Mg 6.259 -8.726 2.589
O 2.514 -8.374 5.391
O 3.329 -4.900 2.175
O 1.113 -1.910 1.565
O 5.255 -7.987 4.211
O 2.639 -7.645 2.661
O 0.257 -3.496 -0.873
Mg 6.290 -7.856 -0.208
Mg 2.058 -3.533 2.895
Mg 3.930 -7.759 -1.995
O 2.858 -2.887 -2.194
Mg 5.726 -10.821 0.468
O 5.787 -6.710 -1.783
Mg 1.193 -4.089 -2.678
O 0.410 -4.763 2.433
Mg 4.407 -6.469 2.824
O 7.266 -9.469 0.971
O 4.631 -9.991 2.156
O 2.326 -5.020 -4.206
O 2.912 -7.041 -0.260
Mg 3.891 -3.647 -3.860
Mg 3.730 -8.443 0.889
O 4.831 -9.260 -0.869
Rb 3.969 -4.795 -0.632
O 5.427 -7.298 1.419
Mg 3.586 -9.245 3.914
CELL_PARAMETERS angstrom
-3.234 -2.567 -0.834
4.119 -3.034 -6.633
4.277 -7.342 6.015
```